1.
! NbBW | the Materials Project database | PBE | optimized geometry; values from VASP
&SYSTEM
  ibrav = 0, nat = 3, ntyp = 3
/
ATOMIC_SPECIES
Nb 92.91 Nb.upf
B 10.81 B.upf
W 183.84 W.upf
CELL_PARAMETERS angstrom
0.000 2.950 2.950
2.950 0.000 2.950
2.950 2.950 0.000
ATOMIC_POSITIONS angstrom
Nb 0.000 0.000 0.000
B 4.425 4.425 4.425
W 1.475 1.475 1.475
! calculated total energy = -8.2862 eV per atom
! formation energy = 1.627 eV per atom


2.
! CsKPt6S6O28 | the Materials Project database | PBE | optimized geometry; values from VASP
&SYSTEM
  ibrav = 0, nat = 84, ntyp = 5
/
ATOMIC_SPECIES
Cs 132.91 Cs.upf
K 39.10 K.upf
Pt 195.08 Pt.upf
S 32.06 S.upf
O 16.00 O.upf
CELL_PARAMETERS angstrom
6.089 3.515 9.397
-6.089 3.515 9.397
0.000 -7.031 9.397
ATOMIC_POSITIONS angstrom
Cs 0.000 0.000 2.410
Cs 0.000 0.000 25.781
K 0.000 0.000 8.272
K 0.000 0.000 19.919
Pt -1.547 -1.299 11.709
Pt -2.715 -1.234 15.010
Pt -0.289 -2.969 13.181
Pt -2.427 1.734 13.181
Pt -1.898 0.690 16.482
Pt -0.351 1.989 11.709
Pt 0.351 -1.989 16.482
Pt 1.898 -0.690 11.709
Pt 2.427 -1.734 15.010
Pt 0.289 2.969 15.010
Pt 2.715 1.234 13.181
Pt 1.547 1.299 16.482
S -3.293 -3.622 12.813
S -2.946 1.247 10.148
S -4.784 1.041 15.378
S 0.393 -3.175 10.148
S -2.553 -1.928 18.043
S 1.490 -4.663 15.378
S -1.490 4.663 12.813
S 2.553 1.928 10.148
S -0.393 3.175 18.043
S 4.784 -1.041 12.813
S 2.946 -1.247 18.043
S 3.293 3.622 15.378
O -3.160 -2.577 11.705
O -3.734 -2.958 14.078
O -3.782 1.651 9.056
O -1.916 -4.250 13.026
O -0.035 -2.150 6.406
O -2.710 -0.229 10.169
O -1.845 1.105 6.406
O -4.638 -0.466 15.165
O 0.461 -4.100 9.056
O -0.892 -2.340 10.042
O -3.585 1.679 11.473
O -3.247 -2.265 16.718
O -4.429 1.754 14.113
O 0.338 -3.944 11.473
O -2.392 -0.284 13.249
O -3.320 -2.450 19.135
O -1.580 1.943 10.042
O 0.695 -4.713 14.113
O -3.812 1.448 16.486
O -0.950 -2.214 14.942
O 1.553 -2.232 10.169
O 0.000 0.000 11.449
O -2.722 3.784 13.026
O -2.473 -0.397 18.149
O -1.157 -2.461 18.022
O 1.879 1.045 6.406
O 0.652 -4.025 16.486
O 1.442 -1.930 13.249
O -1.442 1.930 14.942
O -0.652 4.025 11.705
O -1.880 -1.045 21.785
O 1.157 2.461 10.169
O 2.473 0.397 10.042
O 2.722 -3.784 15.165
O 0.000 0.000 16.742
O -1.553 2.232 18.022
O 0.950 2.214 13.249
O 3.812 -1.448 11.705
O -0.695 4.713 14.078
O 1.580 -1.943 18.149
O 3.320 2.450 9.056
O 2.392 0.284 14.942
O -0.338 3.944 16.718
O 4.429 -1.754 14.078
O 3.247 2.265 11.473
O 3.585 -1.679 16.718
O 0.892 2.340 18.149
O -0.461 4.100 19.135
O 4.638 0.466 13.026
O 1.845 -1.105 21.785
O 2.710 0.229 18.022
O 0.035 2.150 21.785
O 1.916 4.250 15.165
O 3.782 -1.651 19.135
O 3.734 2.958 14.113
O 3.160 2.577 16.486
! total energy after the MP2020 corrections = -533.6 eV for the cell shown
! calculated total energy = -5.8943 eV per atom
! formation energy = -1.548 eV per atom


3.
! ThTl3F7 | the Materials Project database | PBE | optimized geometry; values from VASP
&SYSTEM
  ibrav = 0, nat = 44, ntyp = 3
/
ATOMIC_SPECIES
Th 232.04 Th.upf
Tl 204.38 Tl.upf
F 19.00 F.upf
CELL_PARAMETERS angstrom
4.968 -9.673 0.000
4.968 9.673 0.000
0.000 0.000 8.585
ATOMIC_POSITIONS angstrom
Th 4.968 7.576 4.301
Th 4.968 7.576 8.577
Th 4.968 -7.576 0.008
Th 4.968 -7.576 4.284
Tl 2.650 4.691 6.439
Tl 3.060 0.303 6.439
Tl 3.060 -0.303 2.146
Tl 4.968 2.640 0.281
Tl 4.968 2.640 4.011
Tl 7.287 4.691 6.439
Tl 2.650 -4.691 2.146
Tl 4.968 -2.640 4.574
Tl 4.968 -2.640 8.304
Tl 6.877 0.303 6.439
Tl 6.877 -0.303 2.146
Tl 7.287 -4.691 2.146
F 1.250 2.039 2.146
F 4.968 8.673 2.146
F 2.209 2.626 4.756
F 2.209 2.626 8.121
F 1.287 0.000 0.000
F 1.287 0.000 4.292
F 4.968 6.217 2.146
F 4.968 5.370 4.858
F 4.968 5.370 8.019
F 1.250 -2.039 6.439
F 2.209 -2.626 0.464
F 2.209 -2.626 3.829
F 4.968 2.627 6.439
F 4.968 0.000 0.000
F 4.968 0.000 4.292
F 4.968 -2.627 2.146
F 7.728 2.626 4.756
F 7.728 2.626 8.121
F 8.687 2.039 2.146
F 4.968 -5.370 0.566
F 4.968 -5.370 3.727
F 4.968 -6.217 6.439
F 8.650 0.000 0.000
F 8.650 0.000 4.292
F 7.728 -2.626 0.464
F 7.728 -2.626 3.829
F 4.968 -8.673 6.439
F 8.687 -2.039 6.439
! total energy after the MP2020 corrections = -250.0 eV for the cell shown
! calculated total energy = -5.3871 eV per atom
! formation energy = -3.144 eV per atom


4.
! BaCd2As2 | the Materials Project database | PBE | optimized geometry; values from VASP
&SYSTEM
  ibrav = 0, nat = 5, ntyp = 3
/
ATOMIC_SPECIES
Ba 137.33 Ba.upf
Cd 112.41 Cd.upf
As 74.92 As.upf
CELL_PARAMETERS angstrom
4.600 0.000 0.000
-2.300 3.984 0.000
0.000 0.000 7.787
ATOMIC_POSITIONS angstrom
Ba 0.000 0.000 0.000
Cd 0.000 2.656 2.883
Cd 2.300 1.328 4.903
As 0.000 2.656 5.737
As 2.300 1.328 2.049
! calculated total energy = -3.2507 eV per atom
! formation energy = -0.634 eV per atom


5.
! Mg6AlFe | the Materials Project database | PBE | optimized geometry; values from VASP
&SYSTEM
  ibrav = 0, nat = 16, ntyp = 3
/
ATOMIC_SPECIES
Mg 24.30 Mg.upf
Fe 55.84 Fe.upf
Al 26.98 Al.upf
CELL_PARAMETERS angstrom
-1.320 0.285 -4.724
2.043 -5.589 -0.908
-9.611 -3.912 2.450
ATOMIC_POSITIONS angstrom
Mg -6.952 -6.040 1.579
Mg 0.691 -4.488 -0.464
Mg -3.148 -5.681 -2.018
Mg -7.922 -3.225 2.019
Mg -3.168 -1.290 0.808
Fe -1.263 -3.313 -2.402
Mg -4.085 -6.524 0.748
Al -6.067 -5.269 -1.178
Mg -4.167 -2.895 -1.565
Fe -7.090 -2.475 -0.723
Mg -2.094 -4.063 0.340
Al -2.283 -0.518 -1.948
Mg -8.976 -4.843 -0.339
Mg -7.951 -7.646 -0.794
Mg -5.136 -3.650 1.215
Mg -0.301 -1.774 -0.023
! calculated total energy = -2.5929 eV per atom
! offset from the most stable computed form = 10.3 meV/atom
! formation energy = 0.134 eV per atom


6.
! Cr2HgS4 | the Materials Project database | PBE | optimized geometry; values from VASP
&SYSTEM
  ibrav = 0, nat = 28, ntyp = 3
/
ATOMIC_SPECIES
Cr 52.00 Cr.upf
Hg 200.59 Hg.upf
S 32.06 S.upf
CELL_PARAMETERS angstrom
6.972 0.000 0.000
0.000 13.422 0.000
0.000 0.000 6.080
ATOMIC_POSITIONS angstrom
Cr 0.000 0.000 0.000
Cr 0.000 6.711 0.000
Cr 1.743 0.080 3.031
Cr 1.743 6.631 3.031
Cr 3.486 0.000 0.000
Cr 3.486 6.711 0.000
Cr 5.229 6.791 3.049
Cr 5.229 13.342 3.049
Hg 1.743 3.356 5.340
Hg 1.743 10.067 3.347
Hg 5.229 3.356 2.733
Hg 5.229 10.067 0.740
S 0.013 1.343 4.059
S 0.013 5.368 4.059
S 1.743 1.293 0.948
S 1.743 5.419 0.948
S 1.743 7.972 5.026
S 1.743 12.162 5.026
S 3.473 1.343 4.059
S 3.473 5.368 4.059
S 3.499 8.054 2.021
S 3.499 12.079 2.021
S 5.229 1.261 1.054
S 5.229 5.451 1.054
S 5.229 8.004 5.132
S 5.229 12.130 5.132
S 6.959 8.054 2.021
S 6.959 12.079 2.021
! total energy after the MP2020 corrections = -165.7 eV for the cell shown
! calculated total energy = -5.6310 eV per atom
! offset from the most stable computed form = 100.7 meV/atom
! formation energy = -0.753 eV per atom


7.
! Ba6Al2Rh4O15 | the Materials Project database | PBE | optimized geometry; values from VASP
&SYSTEM
  ibrav = 0, nat = 27, ntyp = 4
/
ATOMIC_SPECIES
Ba 137.33 Ba.upf
Al 26.98 Al.upf
Rh 102.91 Rh.upf
O 16.00 O.upf
CELL_PARAMETERS angstrom
14.633 0.000 0.000
0.000 2.853 5.110
0.000 -2.853 5.110
ATOMIC_POSITIONS angstrom
Ba 0.000 0.000 0.000
Ba 2.315 0.000 6.792
Ba 4.628 0.000 3.236
Ba 7.317 0.000 10.135
Ba 10.006 0.000 3.236
Ba 12.319 0.000 6.792
Al 5.634 0.000 6.571
Al 8.999 0.000 6.571
Rh 1.257 0.000 3.516
Rh 3.683 0.000 10.106
Rh 10.950 0.000 10.106
Rh 13.376 0.000 3.516
O 0.000 -1.327 2.666
O 0.000 1.327 2.666
O 2.445 0.000 1.431
O 2.567 -1.433 4.072
O 2.567 1.433 4.072
O 4.916 -1.445 5.858
O 4.916 1.445 5.858
O 5.362 0.000 8.314
O 7.317 0.000 6.032
O 9.271 0.000 8.314
O 9.717 -1.445 5.858
O 9.717 1.445 5.858
O 12.066 -1.433 4.072
O 12.066 1.433 4.072
O 12.188 0.000 1.431
! total energy after the MP2020 corrections = -186.5 eV for the cell shown
! calculated total energy = -6.5274 eV per atom
! formation energy = -2.365 eV per atom


8.
! CdH4Br3N | the Materials Project database | PBE | optimized geometry; values from VASP
&SYSTEM
  ibrav = 0, nat = 36, ntyp = 4
/
ATOMIC_SPECIES
Cd 112.41 Cd.upf
H 1.01 H.upf
Br 79.90 Br.upf
N 14.01 N.upf
CELL_PARAMETERS angstrom
9.214 0.000 0.000
0.000 4.390 0.000
0.000 0.000 16.165
ATOMIC_POSITIONS angstrom
Cd 1.543 1.098 0.949
Cd 3.064 3.293 9.031
Cd 6.150 1.098 7.134
Cd 7.671 3.293 15.216
H 0.108 3.293 6.236
H 0.318 2.459 4.788
H 0.318 4.126 4.788
H 1.631 3.293 5.452
H 2.976 1.098 13.535
H 4.288 0.264 12.870
H 4.288 1.931 12.870
H 4.499 1.098 14.318
H 4.715 3.293 1.846
H 4.925 2.459 3.294
H 4.925 4.126 3.294
H 6.238 3.293 2.630
H 7.583 1.098 10.712
H 8.895 0.264 11.376
H 8.895 1.931 11.376
H 9.105 1.098 9.928
Br 0.321 1.098 14.575
Br 1.503 1.098 8.098
Br 2.007 3.293 11.496
Br 2.600 1.098 3.414
Br 3.104 3.293 0.016
Br 4.286 3.293 6.492
Br 4.928 1.098 9.672
Br 6.110 1.098 16.149
Br 6.614 3.293 12.751
Br 7.206 1.098 4.669
Br 7.711 3.293 8.067
Br 8.893 3.293 1.590
N 0.608 3.293 5.323
N 3.999 1.098 13.405
N 5.215 3.293 2.760
N 8.606 1.098 10.842
! total energy after the MP2020 corrections = -135.5 eV for the cell shown
! calculated total energy = -3.7243 eV per atom
! formation energy = -0.682 eV per atom


9.
! BiBPbS4 | the Materials Project database | PBE | optimized geometry; values from VASP
&SYSTEM
  ibrav = 0, nat = 14, ntyp = 4
/
ATOMIC_SPECIES
Bi 208.98 Bi.upf
B 10.81 B.upf
Pb 207.20 Pb.upf
S 32.06 S.upf
CELL_PARAMETERS angstrom
6.138 0.000 0.000
0.000 6.322 0.000
-2.853 0.000 8.964
ATOMIC_POSITIONS angstrom
Bi 0.136 0.000 3.137
Bi 3.149 3.161 5.827
B 1.225 3.157 2.724
B 2.060 6.319 6.240
Pb -1.261 0.374 8.465
Pb 4.546 3.536 0.499
S -0.558 3.149 3.106
S -1.967 3.116 8.224
S 2.166 1.621 2.561
S 2.171 4.692 2.593
S 1.113 1.531 6.370
S 1.119 4.782 6.402
S 5.252 6.277 0.740
S 3.843 6.310 5.857
! total energy after the MP2020 corrections = -71.7 eV for the cell shown
! calculated total energy = -4.8353 eV per atom
! formation energy = -0.719 eV per atom


10.
! Cu17Se10 | the Materials Project database | PBE | optimized geometry; values from VASP
&SYSTEM
  ibrav = 0, nat = 27, ntyp = 2
/
ATOMIC_SPECIES
Cu 63.55 Cu.upf
Se 78.96 Se.upf
CELL_PARAMETERS angstrom
3.540 -2.038 0.000
3.540 2.038 0.000
-2.457 0.000 32.967
ATOMIC_POSITIONS angstrom
Cu 0.000 0.000 0.000
Cu -0.480 0.000 14.568
Cu -0.050 0.000 9.354
Cu -0.080 0.000 19.481
Cu -0.184 0.000 24.026
Cu -0.177 0.000 29.663
Cu 2.408 0.000 6.219
Cu 2.308 0.000 10.996
Cu 2.357 0.000 16.308
Cu 2.145 0.000 25.690
Cu 2.185 0.000 28.914
Cu 4.588 0.000 2.678
Cu 4.578 0.000 12.584
Cu 4.595 0.000 22.293
Cu 4.511 0.000 24.931
Cu 4.541 0.000 27.821
Cu 6.667 0.000 4.577
Se 0.045 0.000 6.941
Se -0.011 0.000 16.900
Se -0.188 0.000 26.718
Se 2.287 0.000 3.606
Se 2.273 0.000 13.506
Se 2.236 0.000 23.038
Se 4.706 0.000 0.325
Se 4.686 0.000 10.126
Se 4.627 0.000 19.948
Se 4.532 0.000 30.384
! total energy after the MP2020 corrections = -109.9 eV for the cell shown
! calculated total energy = -3.8947 eV per atom
! formation energy = -0.194 eV per atom


11.
! Nb5Cr3Se20 | the Materials Project database | PBE | optimized geometry; values from VASP
&SYSTEM
  ibrav = 0, nat = 28, ntyp = 3
/
ATOMIC_SPECIES
Nb 92.91 Nb.upf
Cr 52.00 Cr.upf
Se 78.96 Se.upf
CELL_PARAMETERS angstrom
9.566 0.000 0.000
0.000 3.536 0.000
-0.524 0.000 19.048
ATOMIC_POSITIONS angstrom
Nb 0.000 0.000 0.000
Nb -0.368 0.000 13.771
Nb 2.510 1.768 16.446
Nb 4.533 0.000 9.515
Nb 7.548 1.768 6.885
Cr 2.672 1.768 2.408
Cr 4.868 0.000 4.475
Cr 7.281 1.768 11.962
Se 0.869 0.000 2.592
Se 0.516 0.000 16.449
Se 1.461 1.768 19.006
Se 1.610 1.768 13.834
Se 2.917 1.768 8.297
Se 2.876 1.768 10.669
Se 3.119 1.768 4.844
Se 4.416 0.000 2.039
Se 4.184 0.000 15.298
Se 4.128 0.000 17.663
Se 5.565 0.000 6.942
Se 5.490 0.000 12.104
Se 6.515 1.768 9.508
Se 6.671 1.768 4.291
Se 7.438 1.768 14.475
Se 7.438 1.768 17.829
Se 7.909 1.768 1.157
Se 8.960 0.000 11.305
Se 9.189 0.000 5.711
Se 9.170 0.000 8.085
! total energy after the MP2020 corrections = -176.0 eV for the cell shown
! calculated total energy = -5.9484 eV per atom
! formation energy = -0.950 eV per atom


12.
! DyCu3Te3 | the Materials Project database | PBE | optimized geometry; values from VASP
&SYSTEM
  ibrav = 0, nat = 14, ntyp = 3
/
ATOMIC_SPECIES
Dy 162.50 Dy.upf
Cu 63.55 Cu.upf
Te 127.60 Te.upf
CELL_PARAMETERS angstrom
3.728 2.152 7.003
-3.728 2.152 7.003
0.000 -4.305 7.003
ATOMIC_POSITIONS angstrom
Dy 0.000 0.000 3.488
Dy 0.000 0.000 17.521
Cu -1.296 -2.301 7.899
Cu -2.641 -0.028 13.110
Cu -1.345 2.273 7.899
Cu 1.345 -2.273 13.110
Cu 2.641 0.028 7.899
Cu 1.296 2.301 13.110
Te -2.381 -0.012 8.766
Te -1.180 -2.067 12.243
Te 1.200 -2.056 8.766
Te -1.200 2.056 12.243
Te 1.180 2.067 8.766
Te 2.381 0.012 12.243
! total energy after the MP2020 corrections = -62.2 eV for the cell shown
! calculated total energy = -4.2625 eV per atom
! formation energy = -0.681 eV per atom